# Mo3Pt2N

A relaxed structure of Mo3Pt2N (GGA-PBE, the Materials Project).

Values from the calculation:
VASP energy in eV per atom: -9.190
Space-group type: No. 213
Mass density in g/cm3: 13.98
Calculated volume in Å³/cell: 329

Unit cell a=6.9021 b=6.9021 c=6.9021 alpha=90.00 beta=90.00 gamma=90.00
Atoms (fractional coordinates):
1 Mo 0.6250 0.7008 0.9508
2 Mo 0.4508 0.8750 0.2992
3 Mo 0.7008 0.9508 0.6250
4 Mo 0.5492 0.3750 0.2008
5 Mo 0.3750 0.2008 0.5492
6 Mo 0.2008 0.5492 0.3750
7 Mo 0.8750 0.2992 0.4508
8 Mo 0.0492 0.1250 0.7992
9 Mo 0.2992 0.4508 0.8750
10 Mo 0.1250 0.7992 0.0492
11 Mo 0.7992 0.0492 0.1250
12 Mo 0.9508 0.6250 0.7008
13 Pt 0.1928 0.1928 0.1928
14 Pt 0.3072 0.8072 0.6928
15 Pt 0.4428 0.0572 0.9428
16 Pt 0.8072 0.6928 0.3072
17 Pt 0.6928 0.3072 0.8072
18 Pt 0.5572 0.5572 0.5572
19 Pt 0.0572 0.9428 0.4428
20 Pt 0.9428 0.4428 0.0572
21 N 0.3750 0.6250 0.1250
22 N 0.8750 0.8750 0.8750
23 N 0.1250 0.3750 0.6250
24 N 0.6250 0.1250 0.3750

***

# Rb6MoN4

A relaxed structure of Rb6MoN4 (GGA-PBE, the Materials Project).

Values from the calculation:
VASP energy in eV per atom: -4.489
Space-group type: No. 137
Mass density in g/cm3: 4.18
Calculated volume in Å³/cell: 528

Unit cell a=8.5481 b=8.5481 c=7.2220 alpha=90.00 beta=90.00 gamma=90.00
Atoms (fractional coordinates):
1 Rb 0.0000 0.5000 0.7024
2 Rb 0.5000 0.0000 0.7976
3 Rb 0.5000 0.0000 0.2976
4 Rb 0.0000 0.5000 0.2024
5 Rb 0.2049 0.2049 0.5000
6 Rb 0.7951 0.7951 0.5000
7 Rb 0.7049 0.7049 0.0000
8 Rb 0.2951 0.2951 0.0000
9 Rb 0.7951 0.2049 0.5000
10 Rb 0.2049 0.7951 0.5000
11 Rb 0.2951 0.7049 0.0000
12 Rb 0.7049 0.2951 0.0000
13 Mo 0.5000 0.5000 0.5000
14 Mo 0.0000 0.0000 0.0000
15 N 0.3104 0.5000 0.3565
16 N 0.6896 0.5000 0.3565
17 N 0.8104 0.0000 0.1435
18 N 0.1896 0.0000 0.1435
19 N 0.5000 0.3104 0.6435
20 N 0.5000 0.6896 0.6435
21 N 0.0000 0.8104 0.8565
22 N 0.0000 0.1896 0.8565

***

Question: The lowest VASP energy belongs to which entry?
Answer: Mo3Pt2N

***

Question: Which of these has the lowest mass density?
Answer: Rb6MoN4

***

Question: What is the calculated volume in the second record?
Answer: 528 Å³/cell